SrCa3Mn4O12 | the Materials Project | GGA+U | optimized geometry; space group = Pm, No. 6; DFT formation energy = -49.6 eV/f.u.; excess energy over the best structure of this formula in the dataset = 0.00 eV/f.u.; total magnetic moment = 0.60 μB/atom
1.0
5.388 0.000 0.000
0.000 7.622 0.000
-0.016 0.000 5.415
Sr Ca Mn O
1 3 4 12
Cartesian
0.000 0.000 0.000
2.610 0.000 2.764
2.691 3.811 2.357
5.300 3.811 5.050
2.642 1.924 5.261
2.642 5.698 5.261
5.351 1.922 2.548
5.351 5.700 2.548
0.359 3.811 2.669
1.124 1.689 4.083
1.124 5.933 4.083
1.543 1.646 1.428
1.543 5.976 1.428
2.239 3.811 5.391
2.937 0.000 5.142
3.794 2.200 3.709
3.794 5.422 3.709
4.219 2.215 0.998
4.219 5.407 0.998
4.951 0.000 2.519

Sr3Ca5Mn8O21 | the Materials Project | GGA+U | optimized geometry; space group = P1, No. 1; DFT formation energy = -92.5 eV/f.u.; total magnetic moment = 0.81 μB/atom
1.0
11.050 0.000 0.000
-0.229 11.121 0.000
-0.051 -0.104 15.646
Sr Ca Mn O
12 20 32 84
Cartesian
0.000 0.000 0.000
-0.254 11.014 11.444
0.145 -0.026 7.758
0.180 0.012 3.731
2.614 8.410 11.410
2.689 8.510 3.729
2.809 2.878 15.588
5.317 10.970 11.396
5.730 0.070 0.143
8.162 3.037 0.017
8.165 3.038 7.511
8.138 8.407 11.419
-0.100 5.985 3.681
-0.103 5.972 11.468
-0.049 5.863 15.596
-0.002 5.930 7.637
2.487 3.356 11.598
2.637 8.062 0.036
2.740 8.106 7.617
2.868 2.800 7.530
2.865 3.242 3.846
5.145 10.851 7.600
5.436 0.388 3.779
5.436 5.964 11.494
5.467 5.601 7.518
5.503 5.714 0.083
5.502 5.908 3.725
7.974 3.298 3.720
8.089 3.358 11.646
8.018 8.617 3.664
8.135 8.017 7.766
8.183 8.098 0.028
-0.161 8.491 1.815
-0.109 8.388 9.539
0.025 3.119 13.621
-0.054 8.301 13.572
-0.010 8.386 5.711
0.160 3.165 5.758
2.370 0.262 13.443
2.630 5.590 9.581
2.819 0.112 5.718
2.713 5.646 1.861
2.732 5.682 5.670
2.714 5.679 13.520
2.935 0.011 1.735
2.957 0.015 9.586
5.292 2.980 9.469
5.479 2.937 1.866
5.473 2.950 5.676
5.379 8.421 5.698
5.398 8.340 9.488
5.422 8.471 1.814
5.523 3.111 13.575
5.493 8.288 13.639
7.877 0.259 13.379
7.972 0.217 5.733
8.152 5.610 9.642
8.212 5.737 1.867
8.202 5.756 5.662
8.379 0.180 1.980
8.221 5.691 13.532
8.449 0.031 9.530
10.843 3.029 9.413
10.935 3.037 1.663
0.133 8.328 15.517
0.261 2.524 15.486
0.277 8.379 7.630
0.421 2.688 7.652
0.612 10.080 13.507
0.998 4.346 10.023
0.915 10.095 5.678
1.043 4.599 13.065
1.126 1.816 12.795
1.146 4.611 5.168
1.081 10.041 1.873
1.327 1.842 5.145
1.287 4.189 2.175
1.139 10.043 9.737
1.360 7.099 1.991
1.360 7.097 9.779
1.542 7.181 5.512
1.648 7.275 13.438
2.290 5.539 7.631
2.307 5.500 15.510
2.576 0.469 7.733
2.642 0.325 15.395
3.041 0.001 3.732
3.078 0.012 11.599
3.067 5.703 11.544
3.153 5.685 3.778
3.602 3.880 9.563
3.780 3.844 13.483
3.856 4.033 5.888
3.789 9.562 6.033
3.900 9.593 1.437
4.017 4.186 1.676
3.913 9.528 9.292
4.247 1.413 1.732
4.182 6.736 9.267
4.200 6.930 1.528
4.253 6.820 6.016
4.400 1.291 5.918
4.269 6.799 13.963
4.565 1.234 9.517
5.196 2.844 3.785
5.138 8.299 3.746
5.146 8.370 11.674
5.580 2.777 15.476
5.735 3.112 7.619
5.810 8.411 7.582
5.805 8.421 15.565
6.221 10.092 13.538
6.376 10.082 5.520
6.536 4.259 10.090
6.638 4.582 5.397
6.613 4.609 13.095
6.683 4.506 2.059
6.568 10.109 2.176
6.734 1.811 12.868
6.638 10.079 9.562
6.905 7.108 9.792
7.108 1.715 2.050
7.003 7.260 2.018
7.150 1.898 5.409
7.085 7.347 5.472
7.188 7.290 13.418
7.858 5.610 7.648
7.845 5.572 15.512
8.367 0.436 7.583
8.357 0.424 15.159
8.485 -0.034 11.593
8.582 5.727 3.772
8.591 5.697 11.596
8.581 11.004 4.135
9.210 3.995 9.613
9.329 3.845 13.606
9.285 9.740 1.553
9.446 4.218 1.790
9.491 4.000 5.709
9.454 9.573 9.299
9.693 6.834 9.346
9.719 6.945 1.563
9.706 6.983 6.049
9.783 6.797 13.868
9.990 1.354 9.693
10.017 1.428 2.008
10.571 8.475 3.802
10.656 8.372 11.621

Sr3Ca5Mn8O21 | the Materials Project | GGA+U | optimized geometry; space group = P1, No. 1; DFT formation energy = -92.6 eV/f.u.; total magnetic moment = 0.81 μB/atom
1.0
7.745 0.000 0.000
0.004 7.770 0.000
0.291 0.048 7.843
Sr Ca Mn O
3 5 8 21
Cartesian
0.000 0.000 0.000
0.284 0.102 4.019
4.197 7.737 3.975
0.048 4.026 0.161
0.367 4.072 4.124
4.006 0.061 0.091
4.096 4.013 0.132
4.583 4.032 3.940
2.219 5.858 6.026
2.155 2.064 2.150
2.238 5.834 2.040
2.436 2.098 5.877
6.006 2.063 6.013
5.960 5.872 2.026
6.150 5.892 5.973
6.100 2.042 2.001
0.305 6.076 5.900
0.286 1.708 1.837
1.753 2.150 4.139
1.862 3.853 6.256
1.759 3.967 1.866
1.821 5.968 0.182
2.048 5.815 3.956
2.275 0.196 6.071
2.410 0.068 2.039
4.087 2.155 6.729
4.169 5.671 5.993
4.090 5.519 2.079
4.101 2.354 1.982
6.004 0.099 6.151
5.868 0.030 1.847
5.967 1.902 4.045
6.134 6.039 3.952
6.030 5.664 0.116
6.306 3.959 5.719
6.285 2.223 0.013
6.459 4.006 2.262